{
  "formula": "Bi2Se3",
  "functional": "GGA-PBE",
  "state": "relaxed",
  "e_form_ev_per_fu": -3.35,
  "dft_energy_ev_per_cell": -20.20,
  "vol_a3_per_atom": 30.82,
  "lattice": [[-3.0072, 2.4412, 9.6752], [-0.9040, -1.1244, 10.3213], [1.1654, 2.5083, 10.0479]],
  "species": ["Bi", "Bi", "Se", "Se", "Se"],
  "frac_coords": [[0.6027, 0.6027, 0.6027], [0.3973, 0.3973, 0.3973], [0.0000, 0.0000, 0.0000], [0.2179, 0.2179, 0.2179], [0.7821, 0.7821, 0.7821]]
}